[1]
DFT (PBE-GGA) results for a geometry-optimized La3NbSe2O4F2 structure.

Results
total energy = -7.681 eV/atom
crystal system = orthorhombic
energy of formation from the pure elements = -3.3606 eV per atom

a = 11.425 Å, b = 4.029 Å, c = 18.262 Å
α = 90.00°, β = 90.00°, γ = 90.00°
Fractional coordinates of all 48 atoms:
La  0.004  0.250  0.107
La  0.066  0.250  0.698
La  0.206  0.750  0.468
La  0.294  0.250  0.968
La  0.434  0.750  0.198
La  0.496  0.750  0.607
La  0.504  0.250  0.393
La  0.566  0.250  0.802
La  0.706  0.750  0.032
La  0.794  0.250  0.532
La  0.934  0.750  0.302
La  0.996  0.750  0.893
Nb  0.192  0.250  0.305
Nb  0.308  0.750  0.805
Nb  0.692  0.250  0.195
Nb  0.808  0.750  0.695
Se  0.007  0.250  0.420
Se  0.216  0.750  0.091
Se  0.284  0.250  0.591
Se  0.493  0.750  0.920
Se  0.507  0.250  0.080
Se  0.716  0.750  0.409
Se  0.784  0.250  0.909
Se  0.993  0.750  0.580
O  0.052  0.250  0.245
O  0.170  0.750  0.321
O  0.186  0.750  0.739
O  0.218  0.750  0.901
O  0.282  0.250  0.401
O  0.314  0.250  0.239
O  0.330  0.250  0.821
O  0.448  0.750  0.745
O  0.552  0.250  0.255
O  0.670  0.750  0.179
O  0.686  0.750  0.761
O  0.718  0.750  0.599
O  0.782  0.250  0.099
O  0.814  0.250  0.261
O  0.830  0.250  0.679
O  0.948  0.750  0.755
F  0.062  0.250  0.832
F  0.070  0.250  0.974
F  0.430  0.750  0.474
F  0.438  0.750  0.332
F  0.562  0.250  0.668
F  0.570  0.250  0.526
F  0.930  0.750  0.026
F  0.938  0.750  0.168

---

[2]
DFT (PBE-GGA) results for a geometry-optimized La3O2F5 structure.

Results
total energy = -7.293 eV/atom
crystal system = triclinic
energy of formation from the pure elements = -4.2339 eV per atom

a = 4.138 Å, b = 4.184 Å, c = 17.608 Å
α = 89.63°, β = 89.70°, γ = 88.67°
Fractional coordinates of all 20 atoms:
La  0.000  0.000  0.000
La  0.004  0.101  0.654
La  0.496  0.499  0.811
La  0.504  0.522  0.138
La  0.509  0.508  0.473
La  0.973  0.996  0.315
O  0.027  0.520  0.406
O  0.498  0.002  0.063
O  0.999  0.489  0.064
O  0.999  0.489  0.744
F  0.007  0.516  0.559
F  0.441  0.065  0.240
F  0.497  0.997  0.891
F  0.498  0.010  0.399
F  0.498  0.989  0.738
F  0.503  0.995  0.551
F  0.504  0.440  0.646
F  0.682  0.525  0.286
F  0.972  0.851  0.183
F  0.997  0.499  0.901